Record 1
{
  "formula": "Cr2CuSe4",
  "functional": "GGA-PBE",
  "state": "optimized geometry",
  "lattice_angstrom": [[0.000, 5.210, 5.210], [5.210, 0.000, 5.210], [5.210, 5.210, 0.000]],
  "species": ["Cr", "Cr", "Cr", "Cr", "Cu", "Cu", "Se", "Se", "Se", "Se", "Se", "Se", "Se", "Se"],
  "fractional_positions": [[0.000, 0.000, 0.000], [0.000, 0.000, 0.500], [0.000, 0.500, 0.000], [0.500, 0.000, 0.000], [0.375, 0.375, 0.375], [0.625, 0.625, 0.625], [0.227, 0.758, 0.758], [0.242, 0.242, 0.242], [0.242, 0.242, 0.773], [0.242, 0.773, 0.242], [0.758, 0.227, 0.758], [0.758, 0.758, 0.227], [0.758, 0.758, 0.758], [0.773, 0.242, 0.242]],
  "vol_a3_per_atom": 20.20,
  "e_form_ev_per_atom": -0.75
}

Record 2
{
  "formula": "Mn2Co3Ge",
  "functional": "GGA-PBE",
  "state": "optimized geometry",
  "lattice_angstrom": [[4.797, 0.000, 0.000], [-2.399, 4.155, 0.000], [0.000, 0.000, 7.613]],
  "species": ["Mn", "Mn", "Mn", "Mn", "Co", "Co", "Co", "Co", "Co", "Co", "Ge", "Ge"],
  "fractional_positions": [[0.333, 0.667, 0.065], [0.333, 0.667, 0.435], [0.667, 0.333, 0.565], [0.667, 0.333, 0.935], [0.173, 0.347, 0.750], [0.173, 0.827, 0.750], [0.347, 0.173, 0.250], [0.653, 0.827, 0.750], [0.827, 0.173, 0.250], [0.827, 0.653, 0.250], [0.000, 0.000, 0.000], [0.000, 0.000, 0.500]],
  "vol_a3_per_atom": 12.64,
  "magnetic_moment_mub_per_fu": 11.01,
  "e_form_ev_per_atom": -0.04
}

Record 3
{
  "formula": "Be2PtRh",
  "functional": "GGA-PBE",
  "state": "optimized geometry",
  "lattice_angstrom": [[0.000, 2.812, 2.812], [2.812, 0.000, 2.812], [2.812, 2.812, 0.000]],
  "species": ["Be", "Be", "Pt", "Rh"],
  "fractional_positions": [[0.250, 0.250, 0.250], [0.750, 0.750, 0.750], [0.000, 0.000, 0.000], [0.500, 0.500, 0.500]],
  "vol_a3_per_atom": 11.11,
  "e_form_ev_per_atom": -0.77
}

Record 4
{
  "formula": "Bi8SbAuBr9",
  "functional": "GGA-PBE",
  "state": "optimized geometry",
  "lattice_angstrom": [[10.937, 0.000, 0.000], [0.000, 15.587, 0.000], [-0.517, 0.000, 15.231]],
  "species": ["Bi", "Bi", "Bi", "Bi", "Bi", "Bi", "Bi", "Bi", "Bi", "Bi", "Bi", "Bi", "Bi", "Bi", "Bi", "Bi", "Bi", "Bi", "Bi", "Bi", "Bi", "Bi", "Bi", "Bi", "Bi", "Bi", "Bi", "Bi", "Bi", "Bi", "Bi", "Bi", "Sb", "Sb", "Sb", "Sb", "Au", "Au", "Au", "Au", "Br", "Br", "Br", "Br", "Br", "Br", "Br", "Br", "Br", "Br", "Br", "Br", "Br", "Br", "Br", "Br", "Br", "Br", "Br", "Br", "Br", "Br", "Br", "Br", "Br", "Br", "Br", "Br", "Br", "Br", "Br", "Br", "Br", "Br", "Br", "Br"],
  "fractional_positions": [[0.048, 0.141, 0.200], [0.048, 0.359, 0.700], [0.061, 0.642, 0.695], [0.061, 0.858, 0.195], [0.231, 0.052, 0.527], [0.231, 0.448, 0.027], [0.307, 0.645, 0.978], [0.307, 0.855, 0.478], [0.338, 0.009, 0.055], [0.338, 0.491, 0.555], [0.380, 0.569, 0.170], [0.380, 0.931, 0.670], [0.421, 0.183, 0.435], [0.421, 0.317, 0.935], [0.450, 0.136, 0.643], [0.450, 0.364, 0.143], [0.550, 0.636, 0.857], [0.550, 0.864, 0.357], [0.579, 0.683, 0.065], [0.579, 0.817, 0.565], [0.620, 0.069, 0.330], [0.620, 0.431, 0.830], [0.662, 0.509, 0.445], [0.662, 0.991, 0.945], [0.693, 0.145, 0.522], [0.693, 0.355, 0.022], [0.769, 0.552, 0.973], [0.769, 0.948, 0.473], [0.939, 0.142, 0.805], [0.939, 0.358, 0.305], [0.952, 0.641, 0.300], [0.952, 0.859, 0.800], [0.229, 0.003, 0.229], [0.229, 0.497, 0.729], [0.771, 0.503, 0.271], [0.771, 0.997, 0.771], [0.377, 0.006, 0.376], [0.377, 0.494, 0.876], [0.623, 0.506, 0.124], [0.623, 0.994, 0.624], [0.002, 0.630, 0.119], [0.002, 0.870, 0.619], [0.021, 0.637, 0.881], [0.021, 0.863, 0.381], [0.129, 0.003, 0.822], [0.129, 0.497, 0.322], [0.174, 0.645, 0.521], [0.174, 0.855, 0.021], [0.175, 0.156, 0.024], [0.175, 0.344, 0.524], [0.238, 0.244, 0.764], [0.238, 0.256, 0.264], [0.259, 0.749, 0.757], [0.259, 0.751, 0.257], [0.485, 0.113, 0.871], [0.485, 0.387, 0.371], [0.491, 0.629, 0.373], [0.491, 0.871, 0.873], [0.509, 0.129, 0.127], [0.509, 0.371, 0.627], [0.515, 0.613, 0.629], [0.515, 0.887, 0.129], [0.741, 0.249, 0.743], [0.741, 0.251, 0.243], [0.762, 0.744, 0.736], [0.762, 0.756, 0.236], [0.825, 0.656, 0.476], [0.825, 0.844, 0.976], [0.826, 0.145, 0.979], [0.826, 0.355, 0.479], [0.871, 0.503, 0.678], [0.871, 0.997, 0.178], [0.979, 0.137, 0.619], [0.979, 0.363, 0.119], [0.998, 0.130, 0.381], [0.998, 0.370, 0.881]],
  "vol_a3_per_atom": 34.17,
  "magnetic_moment_mub_per_fu": 0.05,
  "e_form_ev_per_atom": -0.71
}

Record 5
{
  "formula": "TlCoAs2",
  "functional": "GGA-PBE",
  "state": "optimized geometry",
  "lattice_angstrom": [[0.000, 3.364, 3.364], [3.364, 0.000, 3.364], [3.364, 3.364, 0.000]],
  "species": ["Tl", "Co", "As", "As"],
  "fractional_positions": [[0.000, 0.000, 0.000], [0.500, 0.500, 0.500], [0.250, 0.250, 0.250], [0.750, 0.750, 0.750]],
  "vol_a3_per_atom": 19.04,
  "magnetic_moment_mub_per_fu": 0.00,
  "e_form_ev_per_atom": 0.59
}

Record 6
{
  "formula": "CuAgTe",
  "functional": "GGA-PBE",
  "state": "optimized geometry",
  "lattice_angstrom": [[0.000, 3.243, 3.243], [3.243, 0.000, 3.243], [3.243, 3.243, 0.000]],
  "species": ["Cu", "Ag", "Te"],
  "fractional_positions": [[0.000, 0.000, 0.000], [0.500, 0.500, 0.500], [0.250, 0.250, 0.250]],
  "vol_a3_per_atom": 22.74,
  "magnetic_moment_mub_per_fu": 0.00,
  "e_form_ev_per_atom": -0.04
}

So what do the calculations give for final energy? Going down the list: -5.824; -7.416; -5.994; -3.261; -4.106; -3.256 eV/atom.